A.
Here is crystalline Sr3Ti2N4 at its relaxed geometry from Materials Project. Energies are from PBE.

a = 6.110 Å, b = 10.364 Å, c = 9.805 Å
α = 90.00°, β = 90.00°, γ = 90.00°
Atoms (fractional coordinates):
Sr: 0.114 0.158 0.079
Sr: 0.114 0.342 0.421
Sr: 0.250 0.000 0.398
Sr: 0.250 0.500 0.102
Sr: 0.386 0.658 0.421
Sr: 0.386 0.842 0.079
Sr: 0.614 0.158 0.921
Sr: 0.614 0.342 0.579
Sr: 0.750 0.000 0.602
Sr: 0.750 0.500 0.898
Sr: 0.886 0.658 0.579
Sr: 0.886 0.842 0.921
Ti: 0.131 0.250 0.750
Ti: 0.250 0.000 0.733
Ti: 0.250 0.500 0.767
Ti: 0.369 0.750 0.750
Ti: 0.631 0.250 0.250
Ti: 0.750 0.000 0.267
Ti: 0.750 0.500 0.233
Ti: 0.869 0.750 0.250
N: 0.005 0.083 0.831
N: 0.005 0.417 0.669
N: 0.172 0.651 0.876
N: 0.172 0.849 0.624
N: 0.328 0.151 0.624
N: 0.328 0.349 0.876
N: 0.495 0.583 0.669
N: 0.495 0.917 0.831
N: 0.505 0.083 0.169
N: 0.505 0.417 0.331
N: 0.672 0.651 0.124
N: 0.672 0.849 0.376
N: 0.828 0.151 0.376
N: 0.828 0.349 0.124
N: 0.995 0.583 0.331
N: 0.995 0.917 0.169

Output
For the magnetic moment, the calculation gives 0.99 μB/f.u. As for the symmetry: No. 52.



B.
Here is crystalline Sr3Ti2N4 at its relaxed geometry from Materials Project. Energies are from PBE.

a = 7.316 Å, b = 7.316 Å, c = 5.797 Å
α = 92.35°, β = 92.35°, γ = 74.74°
Atoms (fractional coordinates):
Sr: 0.105 0.895 0.750
Sr: 0.251 0.517 0.452
Sr: 0.483 0.749 0.048
Sr: 0.517 0.251 0.952
Sr: 0.749 0.483 0.548
Sr: 0.895 0.105 0.250
Ti: 0.085 0.321 0.917
Ti: 0.321 0.085 0.417
Ti: 0.679 0.915 0.583
Ti: 0.915 0.679 0.083
N: 0.103 0.235 0.590
N: 0.187 0.545 0.973
N: 0.235 0.103 0.090
N: 0.455 0.813 0.527
N: 0.545 0.187 0.473
N: 0.765 0.897 0.910
N: 0.813 0.455 0.027
N: 0.897 0.765 0.410

Output
For the magnetic moment, the calculation gives 0.05 μB/f.u. As for the symmetry: No. 15.



Which one sits at the top of the stability order? A does.



A.
Here is crystalline Sr3V2N4 at its relaxed geometry from Materials Project. Energies are from PBE.

a = 7.222 Å, b = 7.222 Å, c = 5.698 Å
α = 92.19°, β = 92.19°, γ = 73.30°
Atoms (fractional coordinates):
Sr: 0.103 0.897 0.750
Sr: 0.250 0.511 0.453
Sr: 0.489 0.750 0.047
Sr: 0.511 0.250 0.953
Sr: 0.750 0.489 0.547
Sr: 0.897 0.103 0.250
V: 0.084 0.327 0.920
V: 0.327 0.084 0.420
V: 0.673 0.916 0.580
V: 0.916 0.673 0.080
N: 0.114 0.232 0.604
N: 0.185 0.548 0.975
N: 0.232 0.114 0.104
N: 0.452 0.815 0.525
N: 0.548 0.185 0.475
N: 0.768 0.886 0.896
N: 0.815 0.452 0.025
N: 0.886 0.768 0.396

Output
For the magnetic moment, the calculation gives 0.00 μB/f.u. As for the symmetry: No. 15.



B.
Here is crystalline Sr3V2N4 at its relaxed geometry from Materials Project. Energies are from PBE.

a = 5.917 Å, b = 10.164 Å, c = 9.746 Å
α = 90.00°, β = 90.00°, γ = 90.00°
Atoms (fractional coordinates):
Sr: 0.116 0.157 0.082
Sr: 0.116 0.343 0.418
Sr: 0.250 0.000 0.403
Sr: 0.250 0.500 0.097
Sr: 0.384 0.657 0.418
Sr: 0.384 0.843 0.082
Sr: 0.616 0.157 0.918
Sr: 0.616 0.343 0.582
Sr: 0.750 0.000 0.597
Sr: 0.750 0.500 0.903
Sr: 0.884 0.657 0.582
Sr: 0.884 0.843 0.918
V: 0.150 0.250 0.750
V: 0.250 0.000 0.737
V: 0.250 0.500 0.763
V: 0.350 0.750 0.750
V: 0.650 0.250 0.250
V: 0.750 0.000 0.263
V: 0.750 0.500 0.237
V: 0.850 0.750 0.250
N: 0.016 0.086 0.834
N: 0.016 0.414 0.666
N: 0.152 0.647 0.868
N: 0.152 0.853 0.632
N: 0.348 0.147 0.632
N: 0.348 0.353 0.868
N: 0.484 0.586 0.666
N: 0.484 0.914 0.834
N: 0.516 0.086 0.166
N: 0.516 0.414 0.334
N: 0.652 0.647 0.132
N: 0.652 0.853 0.368
N: 0.848 0.147 0.368
N: 0.848 0.353 0.132
N: 0.984 0.586 0.334
N: 0.984 0.914 0.166

Output
For the magnetic moment, the calculation gives 0.44 μB/f.u. As for the symmetry: No. 52.



Which one sits at the top of the stability order? B does.



A.
Here is crystalline TaTeN at its relaxed geometry from Materials Project. Energies are from PBE.

a = 7.191 Å, b = 7.191 Å, c = 11.555 Å
α = 110.75°, β = 110.75°, γ = 29.53°
Atoms (fractional coordinates):
Ta: 0.100 0.100 0.095
Ta: 0.183 0.183 0.899
Ta: 0.817 0.817 0.101
Ta: 0.900 0.900 0.905
Te: 0.123 0.123 0.629
Te: 0.340 0.340 0.700
Te: 0.660 0.660 0.300
Te: 0.877 0.877 0.371
N: 0.043 0.043 0.900
N: 0.257 0.257 0.106
N: 0.743 0.743 0.894
N: 0.957 0.957 0.100

Output
For the magnetic moment, the calculation gives 0.00 μB/f.u. As for the symmetry: No. 12.



B.
Here is crystalline TaTeN at its relaxed geometry from Materials Project. Energies are from PBE.

a = 3.573 Å, b = 3.573 Å, c = 9.632 Å
α = 90.00°, β = 90.00°, γ = 90.00°
Atoms (fractional coordinates):
Ta: 0.250 0.250 0.113
Ta: 0.750 0.750 0.887
Te: 0.250 0.250 0.703
Te: 0.750 0.750 0.297
N: 0.250 0.750 0.000
N: 0.750 0.250 0.000

Output
For the magnetic moment, the calculation gives 0.07 μB/f.u. As for the symmetry: No. 129.



Which one sits at the top of the stability order? B does.



A.
Here is crystalline Na at its relaxed geometry from Materials Project. Energies are from PBE.

a = 3.672 Å, b = 3.672 Å, c = 5.497 Å
α = 90.00°, β = 90.00°, γ = 90.00°
Atoms (fractional coordinates):
Na: 0.000 0.000 0.000
Na: 0.500 0.500 0.500

Output
For the magnetic moment, the calculation gives 0.01 μB/f.u. As for the symmetry: No. 139.



B.
Here is crystalline Na at its relaxed geometry from Materials Project. Energies are from PBE.

a = 6.742 Å, b = 6.742 Å, c = 6.742 Å
α = 90.00°, β = 90.00°, γ = 90.00°
Atoms (fractional coordinates):
Na: 0.000 0.000 0.000
Na: 0.000 0.250 0.500
Na: 0.000 0.750 0.500
Na: 0.250 0.500 0.000
Na: 0.500 0.000 0.250
Na: 0.500 0.000 0.750
Na: 0.500 0.500 0.500
Na: 0.750 0.500 0.000

Output
As for the symmetry: No. 223.



C.
Here is crystalline Na at its relaxed geometry from Materials Project. Energies are from PBE.

a = 11.277 Å, b = 11.277 Å, c = 11.277 Å
α = 109.47°, β = 109.47°, γ = 109.47°
Atoms (fractional coordinates):
Na: 0.000 0.000 0.000
Na: 0.000 0.000 0.636
Na: 0.000 0.190 0.373
Na: 0.000 0.373 0.190
Na: 0.000 0.404 0.682
Na: 0.000 0.636 0.000
Na: 0.000 0.682 0.404
Na: 0.183 0.810 0.810
Na: 0.190 0.000 0.373
Na: 0.190 0.373 0.000
Na: 0.278 0.596 0.596
Na: 0.318 0.318 0.722
Na: 0.318 0.722 0.318
Na: 0.364 0.364 0.364
Na: 0.373 0.000 0.190
Na: 0.373 0.190 0.000
Na: 0.404 0.000 0.682
Na: 0.404 0.682 0.000
Na: 0.596 0.278 0.596
Na: 0.596 0.596 0.278
Na: 0.627 0.627 0.817
Na: 0.627 0.817 0.627
Na: 0.636 0.000 0.000
Na: 0.682 0.000 0.404
Na: 0.682 0.404 0.000
Na: 0.722 0.318 0.318
Na: 0.810 0.183 0.810
Na: 0.810 0.810 0.183
Na: 0.817 0.627 0.627

Output
As for the symmetry: No. 217.



D.
Here is crystalline Na at its relaxed geometry from Materials Project. Energies are from PBE.

a = 8.431 Å, b = 8.431 Å, c = 8.431 Å
α = 60.00°, β = 60.00°, γ = 60.00°
Atoms (fractional coordinates):
Na: 0.000 0.000 0.000
Na: 0.352 0.352 0.352
Na: 0.352 0.352 0.945
Na: 0.352 0.945 0.352
Na: 0.500 0.500 0.500
Na: 0.945 0.352 0.352

Output
For the magnetic moment, the calculation gives 0.00 μB/f.u. As for the symmetry: No. 216.



Which one sits at the top of the stability order? C does.



A.
Here is crystalline Na at its relaxed geometry from Materials Project. Energies are from PBE.

a = 4.173 Å, b = 4.173 Å, c = 4.173 Å
α = 90.00°, β = 90.00°, γ = 90.00°
Atoms (fractional coordinates):
Na: 0.000 0.000 0.000
Na: 0.500 0.500 0.500

Output
As for the symmetry: No. 229.



B.
Here is crystalline Na at its relaxed geometry from Materials Project. Energies are from PBE.

a = 4.613 Å, b = 4.613 Å, c = 8.660 Å
α = 90.00°, β = 90.00°, γ = 120.00°
Atoms (fractional coordinates):
Na: 0.000 0.000 0.000
Na: 0.000 0.000 0.500
Na: 0.333 0.667 0.250
Na: 0.667 0.333 0.750

Output
For the magnetic moment, the calculation gives 0.00 μB/f.u. As for the symmetry: No. 194.



C.
Here is crystalline Na at its relaxed geometry from Materials Project. Energies are from PBE.

a = 9.103 Å, b = 9.103 Å, c = 9.103 Å
α = 90.00°, β = 90.00°, γ = 90.00°
Atoms (fractional coordinates):
Na: 0.048 0.125 0.798
Na: 0.063 0.937 0.437
Na: 0.125 0.798 0.048
Na: 0.187 0.187 0.187
Na: 0.202 0.548 0.375
Na: 0.298 0.452 0.875
Na: 0.313 0.813 0.687
Na: 0.375 0.202 0.548
Na: 0.437 0.063 0.937
Na: 0.452 0.875 0.298
Na: 0.548 0.375 0.202
Na: 0.563 0.563 0.563
Na: 0.625 0.702 0.952
Na: 0.687 0.313 0.813
Na: 0.702 0.952 0.625
Na: 0.798 0.048 0.125
Na: 0.813 0.687 0.313
Na: 0.875 0.298 0.452
Na: 0.937 0.437 0.063
Na: 0.952 0.625 0.702

Output
As for the symmetry: No. 213.



Which one sits at the top of the stability order? A does.



A.
Here is crystalline Na at its relaxed geometry from Materials Project. Energies are from PBE.

a = 8.388 Å, b = 8.388 Å, c = 8.388 Å
α = 90.00°, β = 90.00°, γ = 90.00°
Atoms (fractional coordinates):
Na: 0.027 0.027 0.027
Na: 0.027 0.973 0.473
Na: 0.223 0.277 0.723
Na: 0.223 0.723 0.777
Na: 0.277 0.277 0.277
Na: 0.277 0.723 0.223
Na: 0.473 0.027 0.973
Na: 0.473 0.973 0.527
Na: 0.527 0.473 0.973
Na: 0.527 0.527 0.527
Na: 0.723 0.223 0.277
Na: 0.723 0.777 0.223
Na: 0.777 0.223 0.723
Na: 0.777 0.777 0.777
Na: 0.973 0.473 0.027
Na: 0.973 0.527 0.473

Output
As for the symmetry: No. 220.



B.
Here is crystalline Na at its relaxed geometry from Materials Project. Energies are from PBE.

a = 3.757 Å, b = 3.757 Å, c = 27.019 Å
α = 90.00°, β = 90.00°, γ = 120.00°
Atoms (fractional coordinates):
Na: 0.000 0.000 0.000
Na: 0.000 0.000 0.222
Na: 0.000 0.000 0.778
Na: 0.333 0.667 0.444
Na: 0.333 0.667 0.667
Na: 0.333 0.667 0.889
Na: 0.667 0.333 0.111
Na: 0.667 0.333 0.333
Na: 0.667 0.333 0.556

Output
As for the symmetry: No. 166.



C.
Here is crystalline Na at its relaxed geometry from Materials Project. Energies are from PBE.

a = 8.097 Å, b = 4.529 Å, c = 8.682 Å
α = 90.00°, β = 90.00°, γ = 90.00°
Atoms (fractional coordinates):
Na: 0.021 0.250 0.166
Na: 0.156 0.250 0.580
Na: 0.344 0.750 0.080
Na: 0.479 0.750 0.666
Na: 0.521 0.250 0.334
Na: 0.656 0.250 0.920
Na: 0.844 0.750 0.420
Na: 0.979 0.750 0.834

Output
For the magnetic moment, the calculation gives 0.00 μB/f.u. As for the symmetry: No. 62.



Which one sits at the top of the stability order? B does.



A.
Here is crystalline Na2Nb4O11 at its relaxed geometry from Materials Project. Energies are from PBE.

a = 12.942 Å, b = 12.942 Å, c = 12.942 Å
α = 28.21°, β = 28.21°, γ = 28.21°
Atoms (fractional coordinates):
Na: 0.168 0.168 0.168
Na: 0.332 0.332 0.332
Na: 0.668 0.668 0.668
Na: 0.832 0.832 0.832
Nb: 0.000 0.000 0.000
Nb: 0.113 0.750 0.387
Nb: 0.250 0.613 0.887
Nb: 0.387 0.113 0.750
Nb: 0.500 0.500 0.500
Nb: 0.613 0.887 0.250
Nb: 0.750 0.387 0.113
Nb: 0.887 0.250 0.613
O: 0.003 0.497 0.250
O: 0.063 0.755 0.277
O: 0.095 0.095 0.095
O: 0.223 0.745 0.437
O: 0.245 0.723 0.937
O: 0.250 0.003 0.497
O: 0.255 0.563 0.777
O: 0.277 0.063 0.755
O: 0.405 0.405 0.405
O: 0.437 0.223 0.745
O: 0.497 0.250 0.003
O: 0.503 0.750 0.997
O: 0.563 0.777 0.255
O: 0.595 0.595 0.595
O: 0.723 0.937 0.245
O: 0.745 0.437 0.223
O: 0.750 0.997 0.503
O: 0.755 0.277 0.063
O: 0.777 0.255 0.563
O: 0.905 0.905 0.905
O: 0.937 0.245 0.723
O: 0.997 0.503 0.750

Output
For the magnetic moment, the calculation gives 0.00 μB/f.u. As for the symmetry: No. 167.



B.
Here is crystalline Na2Nb4O11 at its relaxed geometry from Materials Project. Energies are from PBE.

a = 6.334 Å, b = 6.334 Å, c = 12.960 Å
α = 103.94°, β = 103.94°, γ = 59.14°
Atoms (fractional coordinates):
Na: 0.243 0.757 0.500
Na: 0.423 0.914 0.999
Na: 0.757 0.243 0.000
Na: 0.914 0.423 0.499
Nb: 0.091 0.566 0.001
Nb: 0.206 0.966 0.244
Nb: 0.338 0.482 0.757
Nb: 0.482 0.338 0.257
Nb: 0.566 0.091 0.501
Nb: 0.699 0.843 0.756
Nb: 0.843 0.699 0.256
Nb: 0.966 0.206 0.744
O: 0.036 0.306 0.913
O: 0.088 0.340 0.254
O: 0.102 0.840 0.754
O: 0.152 0.870 0.095
O: 0.184 0.688 0.287
O: 0.306 0.036 0.413
O: 0.339 0.526 0.912
O: 0.340 0.088 0.754
O: 0.344 0.372 0.597
O: 0.372 0.344 0.097
O: 0.499 0.996 0.221
O: 0.526 0.339 0.412
O: 0.584 0.597 0.254
O: 0.597 0.584 0.754
O: 0.654 0.848 0.597
O: 0.688 0.184 0.787
O: 0.814 0.834 0.911
O: 0.834 0.814 0.411
O: 0.840 0.102 0.254
O: 0.848 0.654 0.097
O: 0.870 0.152 0.595
O: 0.996 0.499 0.721

Output
For the magnetic moment, the calculation gives 0.00 μB/f.u. As for the symmetry: No. 9.



Which one sits at the top of the stability order? B does.